1.
# r²SCAN PbBr2, relaxed
# SG = No. 136
# Calculated volume = 231 Å³/cell
# M_tot = 0.00 μB per formula unit
# DFT formation energy = -302 kJ/mol of formula units
data_PbBr2
_chemical_formula_sum 'Pb2 Br4'
_symmetry_space_group_name_H-M 'P 1'
_symmetry_Int_Tables_number 1
_cell_length_a 7.107
_cell_length_b 7.107
_cell_length_c 4.583
_cell_angle_alpha 90.00
_cell_angle_beta 90.00
_cell_angle_gamma 90.00
loop_
_symmetry_equiv_pos_as_xyz
'x,y,z'
loop_
_atom_site_label
_atom_site_type_symbol
_atom_site_fract_x
_atom_site_fract_y
_atom_site_fract_z
Pb1 Pb 0.000 0.000 0.000
Pb2 Pb 0.500 0.500 0.500
Br1 Br 0.199 0.199 0.500
Br2 Br 0.301 0.699 0.000
Br3 Br 0.699 0.301 0.000
Br4 Br 0.801 0.801 0.500

---

2.
# r²SCAN PbBr2, relaxed
# SG = No. 62
# Calculated volume = 381 Å³/cell
# M_tot = 0.00 μB per formula unit
# DFT formation energy = -307 kJ/mol of formula units
data_PbBr2
_chemical_formula_sum 'Pb4 Br8'
_symmetry_space_group_name_H-M 'P 1'
_symmetry_Int_Tables_number 1
_cell_length_a 8.130
_cell_length_b 4.743
_cell_length_c 9.879
_cell_angle_alpha 90.00
_cell_angle_beta 90.00
_cell_angle_gamma 90.00
loop_
_symmetry_equiv_pos_as_xyz
'x,y,z'
loop_
_atom_site_label
_atom_site_type_symbol
_atom_site_fract_x
_atom_site_fract_y
_atom_site_fract_z
Pb1 Pb 0.233 0.250 0.077
Pb2 Pb 0.267 0.750 0.577
Pb3 Pb 0.733 0.250 0.423
Pb4 Pb 0.767 0.750 0.923
Br1 Br 0.009 0.250 0.844
Br2 Br 0.141 0.250 0.414
Br3 Br 0.359 0.750 0.914
Br4 Br 0.491 0.750 0.344
Br5 Br 0.509 0.250 0.656
Br6 Br 0.641 0.250 0.086
Br7 Br 0.859 0.750 0.586
Br8 Br 0.991 0.750 0.156